1.
## Ge3Pb5O11 (PBE)

Data for a relaxed Ge3Pb5O11 crystal.

Structure (POSCAR):
```
Ge3Pb5O11
1.0
10.436 0.000 0.000
-5.218 9.038 0.000
0.000 0.000 10.899
Ge Pb O
9 15 33
direct
0.008 0.388 0.000
0.021 0.395 0.302
0.374 0.979 0.302
0.380 0.992 0.000
0.391 0.383 0.660
0.605 0.626 0.302
0.612 0.620 0.000
0.617 0.008 0.660
0.992 0.609 0.660
0.002 0.262 0.677
0.003 0.729 0.340
0.260 0.998 0.677
0.263 0.260 0.971
0.271 0.274 0.340
0.333 0.667 0.157
0.333 0.667 0.495
0.333 0.667 0.818
0.667 0.333 0.155
0.667 0.333 0.476
0.667 0.333 0.830
0.726 0.997 0.340
0.738 0.740 0.677
0.740 0.003 0.971
0.997 0.737 0.971
0.069 0.356 0.149
0.084 0.318 0.891
0.091 0.321 0.411
0.095 0.584 0.985
0.124 0.594 0.308
0.189 0.705 0.658
0.230 0.909 0.411
0.234 0.916 0.891
0.287 0.931 0.149
0.295 0.485 0.658
0.310 0.239 0.772
0.374 0.286 0.522
0.406 0.530 0.308
0.416 0.511 0.985
0.470 0.876 0.308
0.477 0.186 0.992
0.489 0.905 0.985
0.495 0.170 0.317
0.505 0.088 0.692
0.515 0.811 0.658
0.583 0.495 0.692
0.644 0.713 0.149
0.675 0.505 0.317
0.679 0.770 0.411
0.682 0.766 0.891
0.709 0.523 0.992
0.714 0.088 0.522
0.761 0.072 0.772
0.814 0.291 0.992
0.830 0.325 0.317
0.912 0.417 0.692
0.912 0.626 0.522
0.928 0.690 0.772
```

Values from the calculation:
SG: P3, No. 143
Mass density: 6930 kg/m3
DFT total energy: -6.02 eV/atom
DFT formation energy: -1842 meV per atom

***

2.
## Ge4PbO9 (PBE)

Data for a relaxed Ge4PbO9 crystal.

Structure (POSCAR):
```
Ge4PbO9
1.0
3.741 -5.815 0.000
3.741 5.815 0.000
-2.005 0.000 4.271
Ge Pb O
4 1 9
direct
0.000 0.000 0.000
0.379 0.179 0.683
0.821 0.179 0.500
0.821 0.621 0.317
0.308 0.692 0.000
0.019 0.765 0.155
0.020 0.246 0.866
0.214 0.229 0.397
0.235 0.981 0.845
0.538 0.071 0.514
0.552 0.448 0.000
0.754 0.980 0.134
0.771 0.786 0.603
0.929 0.462 0.486
```

Values from the calculation:
SG: C2, No. 5
Mass density: 5735 kg/m3
DFT total energy: -6.35 eV/atom
DFT formation energy: -2022 meV per atom

***

3.
## GePbO3 (PBE)

Data for a relaxed GePbO3 crystal.

Structure (POSCAR):
```
GePbO3
1.0
11.688 0.000 0.000
0.000 7.356 0.000
-6.559 0.000 11.916
Ge Pb O
12 12 36
direct
0.042 0.122 0.153
0.042 0.878 0.653
0.251 0.175 0.538
0.251 0.825 0.038
0.358 0.406 0.387
0.358 0.594 0.887
0.642 0.406 0.113
0.642 0.594 0.613
0.749 0.175 0.962
0.749 0.825 0.462
0.958 0.122 0.347
0.958 0.878 0.847
0.072 0.386 0.656
0.072 0.614 0.156
0.303 0.304 0.100
0.303 0.696 0.600
0.373 0.049 0.822
0.373 0.951 0.322
0.627 0.049 0.678
0.627 0.951 0.178
0.697 0.304 0.400
0.697 0.696 0.900
0.928 0.386 0.844
0.928 0.614 0.344
0.000 0.234 0.250
0.000 0.766 0.750
0.106 0.300 0.108
0.106 0.700 0.608
0.109 0.037 0.460
0.109 0.963 0.960
0.146 0.064 0.712
0.146 0.936 0.212
0.220 0.379 0.587
0.220 0.621 0.087
0.248 0.416 0.832
0.248 0.584 0.332
0.318 0.211 0.446
0.318 0.789 0.946
0.364 0.033 0.646
0.364 0.967 0.146
0.402 0.282 0.297
0.402 0.718 0.797
0.500 0.500 0.000
0.500 0.500 0.500
0.598 0.282 0.203
0.598 0.718 0.703
0.636 0.033 0.854
0.636 0.967 0.354
0.682 0.211 0.054
0.682 0.789 0.554
0.752 0.416 0.668
0.752 0.584 0.168
0.780 0.379 0.913
0.780 0.621 0.413
0.854 0.064 0.788
0.854 0.936 0.288
0.891 0.037 0.040
0.891 0.963 0.540
0.894 0.300 0.392
0.894 0.700 0.892
```

Values from the calculation:
SG: P2/c, No. 13
Mass density: 6376 kg/m3
DFT total energy: -6.14 eV/atom
DFT formation energy: -1916 meV per atom

***

4.
## GePbS6O21 (PBE)

Data for a relaxed GePbS6O21 crystal.

Structure (POSCAR):
```
GePbS6O21
1.0
9.287 0.000 0.000
4.529 8.413 0.000
0.628 -0.178 10.965
Ge Pb S O
2 2 12 42
direct
0.021 0.490 0.252
0.979 0.510 0.748
0.323 0.882 0.375
0.677 0.118 0.625
0.073 0.759 0.137
0.101 0.735 0.624
0.195 0.148 0.680
0.302 0.171 0.122
0.313 0.500 0.790
0.362 0.277 0.348
0.638 0.723 0.652
0.687 0.500 0.210
0.698 0.829 0.878
0.805 0.852 0.320
0.899 0.265 0.376
0.927 0.241 0.863
0.030 0.110 0.342
0.046 0.609 0.618
0.080 0.816 0.018
0.081 0.595 0.129
0.082 0.321 0.649
0.122 0.127 0.814
0.128 0.299 0.158
0.171 0.466 0.829
0.174 0.046 0.595
0.175 0.765 0.229
0.202 0.720 0.515
0.213 0.440 0.338
0.213 0.687 0.742
0.319 0.164 0.406
0.325 0.019 0.165
0.353 0.184 0.000
0.359 0.116 0.700
0.392 0.512 0.893
0.408 0.404 0.684
0.417 0.223 0.205
0.493 0.293 0.394
0.507 0.707 0.606
0.583 0.777 0.795
0.592 0.596 0.316
0.608 0.488 0.107
0.641 0.884 0.300
0.647 0.816 0.000
0.675 0.981 0.835
0.681 0.836 0.594
0.787 0.313 0.258
0.787 0.560 0.662
0.798 0.280 0.485
0.825 0.235 0.771
0.826 0.954 0.405
0.829 0.534 0.171
0.872 0.701 0.842
0.878 0.873 0.186
0.918 0.679 0.351
0.919 0.405 0.871
0.920 0.184 0.982
0.954 0.391 0.382
0.970 0.890 0.658
```

Values from the calculation:
SG: P-1, No. 2
Mass density: 3133 kg/m3
DFT total energy: -5.98 eV/atom
DFT formation energy: -1750 meV per atom

***

5.
## Ge2Pb5SO12 (PBE)

Data for a relaxed Ge2Pb5SO12 crystal.

Structure (POSCAR):
```
Ge2Pb5SO12
1.0
10.270 0.000 0.000
0.000 7.490 0.000
-5.105 0.000 8.921
Ge Pb S O
4 10 2 24
direct
0.000 0.000 0.000
0.017 0.500 0.615
0.247 0.500 0.206
0.602 0.500 0.977
0.273 0.262 0.923
0.273 0.738 0.923
0.370 0.000 0.338
0.387 0.500 0.634
0.595 0.500 0.327
0.638 0.000 0.859
0.885 0.500 0.854
0.903 0.000 0.636
0.955 0.269 0.256
0.955 0.731 0.256
0.223 0.000 0.581
0.641 0.000 0.223
0.054 0.000 0.515
0.100 0.000 0.898
0.123 0.000 0.197
0.125 0.500 0.280
0.143 0.500 0.003
0.221 0.500 0.720
0.267 0.161 0.527
0.267 0.839 0.527
0.295 0.000 0.748
0.372 0.315 0.259
0.372 0.685 0.259
0.473 0.000 0.131
0.503 0.500 0.079
0.532 0.316 0.850
0.532 0.684 0.850
0.696 0.162 0.319
0.696 0.838 0.319
0.706 0.000 0.118
0.800 0.500 0.092
0.876 0.185 0.953
0.876 0.815 0.953
0.936 0.500 0.419
0.976 0.313 0.696
0.976 0.687 0.696
```

Values from the calculation:
SG: Pm, No. 6
Mass density: 6801 kg/m3
DFT total energy: -6.00 eV/atom
DFT formation energy: -1845 meV per atom

***

6.
## Si3GePb8O16 (PBE)

Data for a relaxed Si3GePb8O16 crystal.

Structure (POSCAR):
```
Si3GePb8O16
1.0
7.865 0.000 0.000
3.671 6.989 0.000
0.088 2.650 18.382
Si Ge Pb O
3 1 8 16
direct
0.000 0.000 0.000
0.085 0.841 0.167
0.579 0.006 0.998
0.655 0.834 0.166
0.092 0.370 0.195
0.101 0.409 0.992
0.301 0.950 0.317
0.345 0.892 0.854
0.557 0.415 0.175
0.576 0.460 0.972
0.791 0.979 0.305
0.865 0.852 0.863
0.010 0.554 0.884
0.100 0.981 0.221
0.111 0.909 0.081
0.126 0.871 0.938
0.156 0.256 0.306
0.227 0.611 0.191
0.435 0.236 0.973
0.495 0.587 0.863
0.526 0.968 0.235
0.531 0.937 0.080
0.578 0.869 0.939
0.648 0.278 0.284
0.738 0.585 0.183
0.804 0.969 0.000
0.856 0.885 0.173
0.932 0.231 0.981
```

Values from the calculation:
SG: P1, No. 1
Mass density: 3403 kg/m3
DFT total energy: -6.23 eV/atom
DFT formation energy: -1984 meV per atom

***

7.
## SrGe12Pb2O27 (PBE)

Data for a relaxed SrGe12Pb2O27 crystal.

Structure (POSCAR):
```
SrGe12Pb2O27
1.0
10.000 -5.776 0.000
10.000 5.776 0.000
-0.006 0.000 4.825
Sr Ge Pb O
1 12 2 27
direct
0.000 0.000 0.000
0.006 0.661 0.892
0.013 0.477 0.400
0.163 0.178 0.599
0.182 0.668 0.400
0.332 0.818 0.600
0.339 0.994 0.108
0.493 0.507 0.500
0.523 0.987 0.600
0.673 0.147 0.500
0.673 0.327 0.000
0.822 0.837 0.401
0.853 0.327 0.500
0.347 0.327 0.000
0.673 0.653 0.000
0.072 0.749 0.121
0.094 0.507 0.121
0.160 0.327 0.500
0.162 0.577 0.671
0.183 0.067 0.328
0.185 0.815 0.500
0.251 0.928 0.879
0.273 0.148 0.879
0.348 0.543 0.294
0.412 0.077 0.329
0.423 0.838 0.329
0.457 0.652 0.706
0.493 0.906 0.879
0.518 0.388 0.763
0.563 0.112 0.706
0.579 0.266 0.237
0.612 0.482 0.237
0.673 0.840 0.500
0.734 0.421 0.763
0.767 0.172 0.763
0.783 0.003 0.294
0.828 0.233 0.237
0.852 0.727 0.121
0.888 0.437 0.294
0.923 0.588 0.671
0.933 0.817 0.672
0.997 0.217 0.706
```

Values from the calculation:
SG: C2, No. 5
Mass density: 5379 kg/m3
DFT total energy: -6.40 eV/atom
DFT formation energy: -2128 meV per atom

***

8.
## SrGePbO4 (PBE)

Data for a relaxed SrGePbO4 crystal.

Structure (POSCAR):
```
SrGePbO4
1.0
6.069 0.000 0.000
0.000 7.420 0.000
0.000 0.000 10.063
Sr Ge Pb O
4 4 4 16
direct
0.019 0.249 0.209
0.481 0.751 0.709
0.519 0.251 0.791
0.981 0.749 0.291
0.024 0.962 0.587
0.476 0.038 0.087
0.524 0.538 0.413
0.976 0.462 0.913
0.066 0.438 0.591
0.434 0.562 0.091
0.566 0.062 0.409
0.934 0.938 0.909
0.045 0.561 0.069
0.105 0.737 0.549
0.212 0.487 0.807
0.248 0.949 0.174
0.252 0.051 0.674
0.288 0.513 0.307
0.395 0.263 0.049
0.455 0.439 0.569
0.545 0.939 0.931
0.605 0.763 0.451
0.712 0.013 0.193
0.748 0.551 0.826
0.752 0.449 0.326
0.788 0.987 0.693
0.895 0.237 0.951
0.955 0.061 0.431
```

Values from the calculation:
SG: P2_12_12_1, No. 19
Mass density: 6325 kg/m3
DFT total energy: -6.25 eV/atom
DFT formation energy: -2384 meV per atom